No. 1
VASP calculation (PBE-GGA) on an optimized crystal structure of ErMg149.

Summary:
- DFT formation energy (eV per atom) = -0.026

Cell lengths 15.9639, 15.9639, 15.6034 Å; angles 90.00, 90.00, 120.00 degrees
Space group P-6m2 (No. 187)
Symmetry-distinct sites (fractional):
Er 0.0000 0.0000 0.0000 [1 per cell]
Mg 0.0000 0.0000 0.3346 [2 per cell]
Mg 0.0000 0.2004 0.3334 [12 per cell]
Mg 0.0001 0.4001 0.0000 [6 per cell]
Mg 0.9998 0.4002 0.3337 [12 per cell]
Mg 0.0026 0.2042 0.0000 [6 per cell]
Mg 0.0661 0.5330 0.5000 [3 per cell]
Mg 0.0668 0.1336 0.5000 [3 per cell]
Mg 0.0667 0.3335 0.5000 [6 per cell]
Mg 0.0667 0.5333 0.1672 [6 per cell]
Mg 0.0677 0.1354 0.1691 [6 per cell]
Mg 0.0679 0.3354 0.1675 [12 per cell]
Mg 0.2002 0.4004 0.3341 [6 per cell]
Mg 0.2004 0.6002 0.0000 [3 per cell]
Mg 0.1999 0.5999 0.3337 [6 per cell]
Mg 0.2014 0.4028 0.0000 [3 per cell]
Mg 0.2641 0.1320 0.1648 [6 per cell]
Mg 0.2670 0.1335 0.5000 [3 per cell]
Mg 0.2667 0.5335 0.5000 [3 per cell]
Mg 0.2671 0.5342 0.1673 [6 per cell]
Mg 0.3997 0.1999 0.3329 [6 per cell]
Mg 0.4011 0.2006 0.0000 [3 per cell]
Mg 0.4657 0.1330 0.1665 [12 per cell]
Mg 0.4670 0.1341 0.5000 [6 per cell]
Mg 0.6000 0.2000 0.0000 [3 per cell]
Mg 0.6000 0.2000 0.3328 [6 per cell]
Mg 0.6667 0.3333 0.1661 [2 per cell]
Mg 0.6667 0.3333 0.5000 [1 per cell]

---

No. 2
VASP calculation (PBE-GGA) on an optimized crystal structure of Rb2LiSe2.

Summary:
- DFT formation energy (eV per atom) = -0.225
- corrected total energy (MP2020 scheme) (eV per atom) = -2.398

Cell lengths 3.657, 3.657, 15.554 Å; angles 90.00, 90.00, 90.00 degrees
Space group P4/mmm (No. 123)
Symmetry-distinct sites (fractional):
Rb 0.000 0.000 0.150 [2 per cell]
Li 0.000 0.000 0.500 [1 per cell]
Se 0.000 0.000 0.346 [2 per cell]

---

No. 3
VASP calculation (PBE-GGA) on an optimized crystal structure of Pr5Ti4GaO17.

Summary:
- DFT formation energy (eV per atom) = -3.584
- corrected total energy (MP2020 scheme) (eV per atom) = -8.866

Cell lengths 7.788, 5.539, 32.075 Å; angles 90.00, 97.06, 90.00 degrees
Space group Pc (No. 7)
Symmetry-distinct sites (fractional):
Pr 0.000 0.132 0.000 [2 per cell]
Pr 0.288 0.362 0.560 [2 per cell]
Pr 0.361 0.237 0.197 [2 per cell]
Pr 0.401 0.243 0.784 [2 per cell]
Pr 0.442 0.255 0.374 [2 per cell]
Pr 0.501 0.195 0.982 [2 per cell]
Pr 0.784 0.298 0.581 [2 per cell]
Pr 0.839 0.252 0.184 [2 per cell]
Pr 0.883 0.257 0.772 [2 per cell]
Pr 0.930 0.270 0.361 [2 per cell]
Ti 0.059 0.204 0.103 [2 per cell]
Ti 0.096 0.259 0.686 [2 per cell]
Ti 0.141 0.253 0.278 [2 per cell]
Ti 0.191 0.231 0.872 [2 per cell]
Ti 0.224 0.304 0.456 [2 per cell]
Ti 0.546 0.204 0.102 [2 per cell]
Ti 0.688 0.233 0.873 [2 per cell]
Ti 0.737 0.310 0.458 [2 per cell]
Ga 0.597 0.263 0.685 [2 per cell]
Ga 0.643 0.252 0.279 [2 per cell]
O 0.011 0.422 0.059 [2 per cell]
O 0.018 0.462 0.642 [2 per cell]
O 0.062 0.063 0.568 [2 per cell]
O 0.079 0.460 0.230 [2 per cell]
O 0.108 0.049 0.160 [2 per cell]
O 0.117 0.468 0.815 [2 per cell]
O 0.164 0.033 0.744 [2 per cell]
O 0.182 0.455 0.399 [2 per cell]
O 0.204 0.037 0.331 [2 per cell]
O 0.227 0.432 0.991 [2 per cell]
O 0.272 0.037 0.916 [2 per cell]
O 0.272 0.083 0.500 [2 per cell]
O 0.308 0.297 0.110 [2 per cell]
O 0.344 0.325 0.693 [2 per cell]
O 0.387 0.324 0.277 [2 per cell]
O 0.431 0.317 0.860 [2 per cell]
O 0.479 0.355 0.450 [2 per cell]
O 0.512 0.077 0.574 [2 per cell]
O 0.549 0.409 0.054 [2 per cell]
O 0.563 0.049 0.160 [2 per cell]
O 0.585 0.029 0.744 [2 per cell]
O 0.630 0.030 0.331 [2 per cell]
O 0.636 0.475 0.639 [2 per cell]
O 0.650 0.041 0.917 [2 per cell]
O 0.655 0.469 0.228 [2 per cell]
O 0.703 0.469 0.816 [2 per cell]
O 0.720 0.452 0.398 [2 per cell]
O 0.739 0.099 0.505 [2 per cell]
O 0.773 0.407 0.983 [2 per cell]
O 0.811 0.140 0.109 [2 per cell]
O 0.858 0.181 0.698 [2 per cell]
O 0.898 0.172 0.283 [2 per cell]
O 0.937 0.175 0.869 [2 per cell]
O 0.977 0.213 0.448 [2 per cell]

---

No. 4
VASP calculation (PBE-GGA) on an optimized crystal structure of Ba2SrSeO6.

Summary:
- DFT formation energy (eV per atom) = -2.496
- corrected total energy (MP2020 scheme) (eV per atom) = -6.367

Cell lengths 8.482, 8.482, 8.482 Å; angles 90.00, 90.00, 90.00 degrees
Space group Fm-3m (No. 225)
Symmetry-distinct sites (fractional):
Ba 0.250 0.250 0.250 [8 per cell]
Sr 0.000 0.000 0.000 [4 per cell]
Se 0.000 0.000 0.500 [4 per cell]
O 0.000 0.000 0.283 [24 per cell]

---

Copy entry 2 word for word.
VASP calculation (PBE-GGA) on an optimized crystal structure of Rb2LiSe2.

Summary:
- DFT formation energy (eV per atom) = -0.225
- corrected total energy (MP2020 scheme) (eV per atom) = -2.398

Cell lengths 3.657, 3.657, 15.554 Å; angles 90.00, 90.00, 90.00 degrees
Space group P4/mmm (No. 123)
Symmetry-distinct sites (fractional):
Rb 0.000 0.000 0.150 [2 per cell]
Li 0.000 0.000 0.500 [1 per cell]
Se 0.000 0.000 0.346 [2 per cell]